[1]
# Ga2Pt (PBE-GGA, optimized geometry)
# Energy, eV per atom: -4.623
# Density, g cm⁻³: 10.3
# Crystal system: cubic
data_Ga2Pt
_chemical_formula_sum 'Ga8 Pt4'
_cell_length_a 6.0018
_cell_length_b 6.0018
_cell_length_c 6.0018
_cell_angle_alpha 90.00
_cell_angle_beta 90.00
_cell_angle_gamma 90.00
_symmetry_space_group_name_H-M 'F m -3 m'
_symmetry_Int_Tables_number 225
_symmetry_space_group_name_Hall '-F 4 2 3'
loop_
_atom_site_label
_atom_site_fract_x
_atom_site_fract_y
_atom_site_fract_z
Ga1 0.2500 0.2500 0.2500
Pt1 0.0000 0.0000 0.0000

***

[2]
# VCu12SnAs2S16 (PBE-GGA, optimized geometry)
# Energy, eV per atom: -4.603
# Density, g cm⁻³: 4.4
# Crystal system: tetragonal
data_VCu12SnAs2S16
_chemical_formula_sum 'V2 Cu24 Sn2 As4 S32'
_cell_length_a 10.6235
_cell_length_b 10.6235
_cell_length_c 10.6063
_cell_angle_alpha 90.00
_cell_angle_beta 90.00
_cell_angle_gamma 90.00
_symmetry_space_group_name_H-M 'I -4 2 m'
_symmetry_Int_Tables_number 121
_symmetry_space_group_name_Hall 'I -4 2'
loop_
_atom_site_label
_atom_site_fract_x
_atom_site_fract_y
_atom_site_fract_z
V1 0.0000 0.0000 0.0000
Cu1 0.0013 0.2510 0.7507
Cu2 0.2492 0.2492 0.0005
Sn1 0.0000 0.0000 0.5000
As1 0.0000 0.5000 0.0000
S1 0.1199 0.1199 0.8796
S2 0.1256 0.3732 0.1259
S3 0.1338 0.1338 0.3653

***

[3]
# Cs3HoO3 (PBE-GGA, optimized geometry)
# Density, g cm⁻³: 5.2
# Crystal system: monoclinic
# Relative energy among the computed polymorphs, meV per atom: 10
data_Cs3HoO3
_chemical_formula_sum 'Cs12 Ho4 O12'
_cell_length_a 8.0856
_cell_length_b 12.9072
_cell_length_c 7.6188
_cell_angle_alpha 90.00
_cell_angle_beta 101.30
_cell_angle_gamma 90.00
_symmetry_space_group_name_H-M 'C 1 2/m 1'
_symmetry_Int_Tables_number 12
_symmetry_space_group_name_Hall '-C 2y'
loop_
_atom_site_label
_atom_site_fract_x
_atom_site_fract_y
_atom_site_fract_z
Cs1 0.0000 0.2050 0.0000
Cs2 0.0000 0.2622 0.5000
Cs3 0.1386 0.5000 0.8485
Ho1 0.1726 0.0000 0.6488
O1 0.0977 0.0000 0.3541
O2 0.2006 0.3650 0.2349

***

[4]
# Ga2O3 (PBE-GGA, optimized geometry)
# Energy, eV per atom: -5.870
# Density, g cm⁻³: 4.7
# Crystal system: triclinic
data_Ga2O3
_chemical_formula_sum 'Ga32 O48'
_cell_length_a 9.7872
_cell_length_b 10.2809
_cell_length_c 10.4439
_cell_angle_alpha 92.30
_cell_angle_beta 90.83
_cell_angle_gamma 90.81
_symmetry_space_group_name_H-M 'P 1'
_symmetry_Int_Tables_number 1
_symmetry_space_group_name_Hall 'P 1'
loop_
_atom_site_label
_atom_site_fract_x
_atom_site_fract_y
_atom_site_fract_z
Ga1 0.0000 0.0000 0.0000
Ga2 0.0004 0.5930 0.5536
Ga3 0.0432 0.4672 0.8521
Ga4 0.1318 0.0836 0.4739
Ga5 0.1402 0.1987 0.1418
Ga6 0.1590 0.7379 0.0365
Ga7 0.1973 0.5097 0.1806
Ga8 0.2018 0.7958 0.3674
Ga9 0.2904 0.3244 0.6774
Ga10 0.2925 0.3060 0.3692
Ga11 0.3442 0.6342 0.5500
Ga12 0.3693 0.9783 0.0338
Ga13 0.4261 0.9159 0.5610
Ga14 0.4345 0.2725 0.0868
Ga15 0.4438 0.0635 0.3355
Ga16 0.4530 0.7818 0.8398
Ga17 0.4919 0.1269 0.8083
Ga18 0.5106 0.5128 0.2928
Ga19 0.5271 0.4758 0.7695
Ga20 0.5531 0.8141 0.2963
Ga21 0.5937 0.5664 0.0351
Ga22 0.7022 0.1297 0.4739
Ga23 0.7227 0.9552 0.8936
Ga24 0.7306 0.4156 0.5411
Ga25 0.7347 0.2831 0.9286
Ga26 0.7833 0.1660 0.1697
Ga27 0.7953 0.6754 0.7157
Ga28 0.8256 0.7977 0.1319
Ga29 0.8658 0.8660 0.4492
Ga30 0.8858 0.0991 0.6870
Ga31 0.8958 0.4802 0.1028
Ga32 0.9378 0.3392 0.3340
O1 0.0232 0.4864 0.2418
O2 0.0439 0.9070 0.3973
O3 0.0551 0.1151 0.6253
O4 0.1029 0.2308 0.3252
O5 0.1029 0.5659 0.0022
O6 0.1490 0.3490 0.7800
O7 0.1601 0.6631 0.4981
O8 0.1808 0.0331 0.0726
O9 0.2104 0.7004 0.2061
O10 0.2335 0.3478 0.0926
O11 0.2646 0.2375 0.5216
O12 0.2880 0.9790 0.4263
O13 0.2933 0.8217 0.9495
O14 0.3205 0.4775 0.3333
O15 0.3556 0.1928 0.2363
O16 0.3768 0.4919 0.6397
O17 0.3903 0.1474 0.9621
O18 0.3931 0.7425 0.4154
O19 0.4017 0.0435 0.6788
O20 0.4052 0.7708 0.6667
O21 0.4581 0.3009 0.7595
O22 0.4592 0.9430 0.1942
O23 0.4808 0.6158 0.8944
O24 0.5007 0.4351 0.1283
O25 0.5225 0.9391 0.9094
O26 0.5383 0.6636 0.1960
O27 0.5417 0.1959 0.4181
O28 0.5617 0.9395 0.4355
O29 0.6221 0.4859 0.4214
O30 0.6387 0.2012 0.0628
O31 0.6418 0.4327 0.9105
O32 0.6804 0.5317 0.6747
O33 0.6934 0.1311 0.8194
O34 0.7024 0.7897 0.8122
O35 0.7618 0.8187 0.2997
O36 0.7663 0.2503 0.6044
O37 0.7723 0.9579 0.0695
O38 0.7829 0.6256 0.0719
O39 0.7912 0.9925 0.5603
O40 0.8046 0.3589 0.2035
O41 0.8307 0.1562 0.3417
O42 0.8634 0.7195 0.5509
O43 0.9052 0.3798 0.9450
O44 0.9136 0.0007 0.8388
O45 0.9181 0.4395 0.4873
O46 0.9559 0.1586 0.0848
O47 0.9702 0.5879 0.7350
O48 0.9968 0.8267 0.0546

***

[5]
# Mg6SiGe2 (PBE-GGA, optimized geometry)
# Energy, eV per atom: -2.927
# Density, g cm⁻³: 2.7
# Crystal system: orthorhombic
data_Mg6SiGe2
_chemical_formula_sum 'Mg12 Si2 Ge4'
_cell_length_a 4.5323
_cell_length_b 6.3981
_cell_length_c 13.5764
_cell_angle_alpha 90.00
_cell_angle_beta 90.00
_cell_angle_gamma 90.00
_symmetry_space_group_name_H-M 'I m m m'
_symmetry_Int_Tables_number 71
_symmetry_space_group_name_Hall '-I 2 2'
loop_
_atom_site_label
_atom_site_fract_x
_atom_site_fract_y
_atom_site_fract_z
Mg1 0.0000 0.2490 0.0000
Mg2 0.0000 0.2505 0.3337
Si1 0.0000 0.5000 0.5000
Ge1 0.0000 0.5000 0.1667

***

[6]
# CuCl (PBE-GGA, optimized geometry)
# Energy, eV per atom: -3.351
# Density, g cm⁻³: 4.1
# Crystal system: hexagonal
data_CuCl
_chemical_formula_sum 'Cu2 Cl2'
_cell_length_a 3.8280
_cell_length_b 3.8280
_cell_length_c 6.2856
_cell_angle_alpha 90.00
_cell_angle_beta 90.00
_cell_angle_gamma 120.00
_symmetry_space_group_name_H-M 'P 63 m c'
_symmetry_Int_Tables_number 186
_symmetry_space_group_name_Hall 'P 6c -2c'
loop_
_atom_site_label
_atom_site_fract_x
_atom_site_fract_y
_atom_site_fract_z
Cu1 0.3333 0.6667 0.0000
Cl1 0.3333 0.6667 0.6267

***

[7]
# La5C2I9 (PBE-GGA, optimized geometry)
# Density, g cm⁻³: 5.2
# Crystal system: triclinic
# Relative energy among the computed polymorphs, meV per atom: 12
data_La5C2I9
_chemical_formula_sum 'La10 C4 I18'
_cell_length_a 8.1546
_cell_length_b 10.2748
_cell_length_c 14.6289
_cell_angle_alpha 79.45
_cell_angle_beta 80.79
_cell_angle_gamma 85.29
_symmetry_space_group_name_H-M 'P -1'
_symmetry_Int_Tables_number 2
_symmetry_space_group_name_Hall '-P 1'
loop_
_atom_site_label
_atom_site_fract_x
_atom_site_fract_y
_atom_site_fract_z
La1 0.0494 0.4640 0.3245
La2 0.1590 0.0308 0.8013
La3 0.1761 0.6465 0.8600
La4 0.2218 0.1366 0.2368
La5 0.2356 0.8394 0.5813
C1 0.0408 0.7244 0.7172
C2 0.0926 0.8455 0.7420
I1 0.0921 0.1506 0.0275
I2 0.1170 0.1572 0.5017
I3 0.1936 0.8203 0.2256
I4 0.1979 0.4931 0.0884
I5 0.2478 0.5593 0.4989
I6 0.2494 0.3626 0.7734
I7 0.4234 0.8502 0.9229
I8 0.4592 0.3455 0.3007
I9 0.4934 0.0519 0.6354

***

[8]
# Sm2Sc2O5 (PBE-GGA, optimized geometry)
# Energy, eV per atom: -8.331
# Density, g cm⁻³: 6.1
# Crystal system: orthorhombic
data_Sm2Sc2O5
_chemical_formula_sum 'Sm8 Sc8 O20'
_cell_length_a 15.8863
_cell_length_b 5.6670
_cell_length_c 5.6776
_cell_angle_alpha 90.00
_cell_angle_beta 90.00
_cell_angle_gamma 90.00
_symmetry_space_group_name_H-M 'I m a 2'
_symmetry_Int_Tables_number 46
_symmetry_space_group_name_Hall 'I 2 -2a'
loop_
_atom_site_label
_atom_site_fract_x
_atom_site_fract_y
_atom_site_fract_z
Sm1 0.1356 0.0208 0.0000
Sc1 0.0000 0.0000 0.4750
Sc2 0.2500 0.5396 0.9709
O1 0.0409 0.2386 0.7279
O2 0.1269 0.6229 0.9260
O3 0.2500 0.2307 0.7371